The following is a DFT calculation (PBE) of a relaxed structure of Mn3Si.

Values from the calculation:
Energy of formation from the pure elements   -1.3 eV per formula unit
Crystal system   cubic
Calculated total energy   -8.56 eV per atom

Cell: 4.000 4.000 4.000 Å, 60.00 60.00 60.00°
Fractional coordinates of all 4 atoms:
Mn1 0.000 0.000 0.000
Mn2 0.250 0.250 0.250
Mn3 0.750 0.750 0.750
Si1 0.500 0.500 0.500